(1)
# Li9Co7O16 | the Materials Project database | GGA+U | optimized geometry
data_Li9Co7O16
_cell_length_a 5.841
_cell_length_b 5.858
_cell_length_c 8.685
_cell_angle_alpha 89.11
_cell_angle_beta 70.38
_cell_angle_gamma 89.66
_symmetry_space_group_name_H-M 'P 1'
_symmetry_Int_Tables_number 1
_symmetry_space_group_name_Hall 'P 1'
loop_
_atom_site_label
_atom_site_type_symbol
_atom_site_fract_x
_atom_site_fract_y
_atom_site_fract_z
Li1 Li 0.633 0.747 0.241
O1 O 0.863 0.018 0.252
O2 O 0.607 0.514 0.762
Co1 Co 0.249 0.001 0.500
O3 O 0.387 0.021 0.258
O4 O 0.137 0.982 0.748
Li2 Li 0.500 0.000 0.000
O5 O 0.007 0.238 0.496
O6 O 0.276 0.736 0.980
O7 O 0.513 0.239 0.481
O8 O 0.742 0.737 0.988
O9 O 0.393 0.486 0.238
Co2 Co 0.500 0.500 0.000
O10 O 0.724 0.264 0.020
Li3 Li 0.250 0.501 0.499
Co3 Co 0.127 0.256 0.239
Co4 Co 0.630 0.256 0.245
Co5 Co 0.370 0.744 0.755
Li4 Li 0.124 0.747 0.247
Li5 Li 0.750 0.499 0.501
O11 O 0.856 0.475 0.254
O12 O 0.613 0.979 0.742
Co6 Co 0.873 0.744 0.761
Li6 Li 0.876 0.253 0.753
O13 O 0.993 0.762 0.504
O14 O 0.144 0.525 0.746
Co7 Co 0.751 0.999 0.500
O15 O 0.258 0.263 0.012
Li7 Li 0.000 0.500 0.000
Li8 Li 0.000 0.000 0.000
Li9 Li 0.367 0.253 0.759
O16 O 0.487 0.761 0.519
# Total moment = 2.0 μB per cell
# Space group = No. 2



(2)
# Li9Co7O16 | the Materials Project database | GGA+U | optimized geometry
data_Li9Co7O16
_cell_length_a 2.942
_cell_length_b 9.849
_cell_length_c 9.990
_cell_angle_alpha 79.11
_cell_angle_beta 89.21
_cell_angle_gamma 88.78
_symmetry_space_group_name_H-M 'P 1'
_symmetry_Int_Tables_number 1
_symmetry_space_group_name_Hall 'P 1'
loop_
_atom_site_label
_atom_site_type_symbol
_atom_site_fract_x
_atom_site_fract_y
_atom_site_fract_z
O1 O 0.534 0.111 0.823
Co1 Co 0.493 0.499 0.248
O2 O 0.008 0.382 0.190
O3 O 0.466 0.889 0.177
Li1 Li 0.004 0.755 0.624
Co2 Co 0.500 0.000 0.000
O4 O 0.466 0.885 0.694
O5 O 0.998 0.115 0.585
Co3 Co 0.006 0.999 0.258
O6 O 0.009 0.105 0.071
O7 O 0.976 0.615 0.310
Co4 Co 0.000 0.500 0.500
O8 O 0.002 0.885 0.415
O9 O 0.992 0.618 0.810
O10 O 0.508 0.382 0.936
O11 O 0.991 0.895 0.929
Co5 Co 0.994 0.001 0.742
O12 O 0.479 0.382 0.438
O13 O 0.024 0.385 0.690
O14 O 0.492 0.618 0.064
Li2 Li 0.503 0.749 0.372
O15 O 0.521 0.618 0.562
Li3 Li 0.997 0.749 0.126
Li4 Li 0.003 0.251 0.874
Co6 Co 0.507 0.501 0.752
O16 O 0.534 0.115 0.306
Li5 Li 0.500 0.000 0.500
Li6 Li 0.497 0.251 0.628
Li7 Li 0.996 0.245 0.376
Li8 Li 0.493 0.748 0.873
Co7 Co 0.000 0.500 0.000
Li9 Li 0.507 0.252 0.127
# Total moment = 2.0 μB per cell
# Space group = No. 2



Which one sits at the bottom of the stability order? (2) does.



(1)
# Li2CrFeO4 | the Materials Project database | GGA+U | optimized geometry
data_Li2CrFeO4
_cell_length_a 5.280
_cell_length_b 5.280
_cell_length_c 5.280
_cell_angle_alpha 134.54
_cell_angle_beta 134.54
_cell_angle_gamma 66.24
_symmetry_space_group_name_H-M 'P 1'
_symmetry_Int_Tables_number 1
_symmetry_space_group_name_Hall 'P 1'
loop_
_atom_site_label
_atom_site_type_symbol
_atom_site_fract_x
_atom_site_fract_y
_atom_site_fract_z
Cr1 Cr 0.750 0.250 0.500
O1 O 0.979 0.479 0.500
Fe1 Fe 0.000 0.000 0.000
O2 O 0.231 0.231 0.000
Li1 Li 0.500 0.500 0.000
O3 O 0.769 0.769 0.000
Li2 Li 0.250 0.750 0.500
O4 O 0.521 0.021 0.500
# Piezoelectric modulus e_max = 1.0 C/m2
# Total moment = 2.0 μB per cell
# Space group = No. 119



(2)
# Li2CrFeO4 | the Materials Project database | GGA+U | optimized geometry
data_Li2CrFeO4
_cell_length_a 2.974
_cell_length_b 5.154
_cell_length_c 5.167
_cell_angle_alpha 70.49
_cell_angle_beta 90.00
_cell_angle_gamma 90.00
_symmetry_space_group_name_H-M 'P 1'
_symmetry_Int_Tables_number 1
_symmetry_space_group_name_Hall 'P 1'
loop_
_atom_site_label
_atom_site_type_symbol
_atom_site_fract_x
_atom_site_fract_y
_atom_site_fract_z
Li1 Li 0.500 0.500 0.000
Li2 Li 0.000 0.000 0.000
O1 O 0.000 0.241 0.274
O2 O 0.000 0.759 0.726
O3 O 0.500 0.744 0.272
O4 O 0.500 0.256 0.728
Cr1 Cr 0.500 0.000 0.500
Fe1 Fe 0.000 0.500 0.500
# Total moment = 8.0 μB per cell
# Space group = No. 10



Which one sits at the bottom of the stability order? (1) does.



(1)
# MgFe2Ag2O4 | the Materials Project database | GGA+U | optimized geometry
data_MgFe2Ag2O4
_cell_length_a 3.104
_cell_length_b 3.132
_cell_length_c 14.329
_cell_angle_alpha 90.00
_cell_angle_beta 85.73
_cell_angle_gamma 120.29
_symmetry_space_group_name_H-M 'P 1'
_symmetry_Int_Tables_number 1
_symmetry_space_group_name_Hall 'P 1'
loop_
_atom_site_label
_atom_site_type_symbol
_atom_site_fract_x
_atom_site_fract_y
_atom_site_fract_z
Fe1 Fe 0.133 0.066 0.048
O1 O 0.857 0.429 0.934
Ag1 Ag 0.415 0.207 0.702
O2 O 0.335 0.668 0.405
Ag2 Ag 0.395 0.697 0.257
Fe2 Fe 0.971 0.986 0.477
O3 O 0.440 0.720 0.109
Mg1 Mg 0.557 0.778 0.871
O4 O 0.606 0.303 0.547
# Total moment = 9.2 μB per cell
# Space group = No. 8



(2)
# MgFe2Ag2O4 | the Materials Project database | GGA+U | optimized geometry
data_MgFe2Ag2O4
_cell_length_a 3.117
_cell_length_b 3.119
_cell_length_c 14.701
_cell_angle_alpha 90.00
_cell_angle_beta 85.11
_cell_angle_gamma 120.02
_symmetry_space_group_name_H-M 'P 1'
_symmetry_Int_Tables_number 1
_symmetry_space_group_name_Hall 'P 1'
loop_
_atom_site_label
_atom_site_type_symbol
_atom_site_fract_x
_atom_site_fract_y
_atom_site_fract_z
O1 O 0.341 0.670 0.405
O2 O 0.544 0.772 0.113
O3 O 0.599 0.300 0.544
Ag1 Ag 0.437 0.718 0.263
Ag2 Ag 0.581 0.291 0.699
Fe1 Fe 0.968 0.984 0.478
O4 O 0.314 0.157 0.924
Fe2 Fe 0.242 0.121 0.058
Mg1 Mg 0.682 0.841 0.865
# Total moment = 9.3 μB per cell
# Space group = No. 8



Which one sits at the bottom of the stability order? (2) does.